No. 1
KSrHfBiO6 | PBE | relaxed

Values from the calculation:
Space group   F-43m, No. 216
V   14.65 Å³ per atom
Formation energy from the elements   -2.647 eV per atom
Electronic total energy   -6.868 eV per atom
Spin magnetization   0.00 μB per formula unit
Theoretical density   6.92 Mg/m³

Lattice parameters (Å, degrees): 5.917 5.917 5.917 60.00 60.00 60.00
Fractional positions:
K (0.000, 0.000, 0.000)
Sr (0.500, 0.500, 0.500)
Hf (0.750, 0.750, 0.750)
Bi (0.250, 0.250, 0.250)
O (0.503, 0.503, 0.997)
O (0.503, 0.997, 0.503)
O (0.503, 0.997, 0.997)
O (0.997, 0.503, 0.503)
O (0.997, 0.503, 0.997)
O (0.997, 0.997, 0.503)

=====

No. 2
HfMg6Bi | PBE | relaxed

Values from the calculation:
V   23.29 Å³ per atom
Energy relative to the lowest polymorph listed for this composition   0.0 kJ/mol of formula units
Formation energy from the elements   0.046 eV per atom
Electronic total energy   -2.885 eV per atom
Spin magnetization   0.00 μB per formula unit
Theoretical density   4.75 Mg/m³

Lattice parameters (Å, degrees): 5.352 6.173 11.278 90.00 90.00 90.00
Fractional positions:
Hf (0.500, 0.500, 0.168)
Hf (0.500, 0.000, 0.668)
Mg (0.000, 0.000, 0.830)
Mg (0.000, 0.000, 0.338)
Mg (0.500, 0.752, 0.917)
Mg (0.500, 0.252, 0.417)
Mg (0.500, 0.248, 0.917)
Mg (0.000, 0.740, 0.081)
Mg (0.000, 0.240, 0.581)
Mg (0.000, 0.500, 0.838)
Mg (0.000, 0.500, 0.330)
Mg (0.500, 0.748, 0.417)
Mg (0.000, 0.760, 0.581)
Mg (0.000, 0.260, 0.081)
Bi (0.500, 0.500, 0.668)
Bi (0.500, 0.000, 0.168)

=====

No. 3
HfMg6Bi | PBE | relaxed

Values from the calculation:
V   23.31 Å³ per atom
Energy relative to the lowest polymorph listed for this composition   1.9 kJ/mol of formula units
Formation energy from the elements   0.048 eV per atom
Electronic total energy   -2.883 eV per atom
Spin magnetization   0.00 μB per formula unit
Theoretical density   4.75 Mg/m³

Lattice parameters (Å, degrees): 5.200 6.528 10.985 90.00 90.00 90.00
Fractional positions:
Mg (0.500, 0.241, 0.420)
Mg (0.500, 0.000, 0.164)
Mg (0.500, 0.759, 0.420)
Mg (0.000, 0.250, 0.083)
Mg (0.000, 0.000, 0.335)
Mg (0.500, 0.500, 0.664)
Mg (0.000, 0.750, 0.583)
Mg (0.000, 0.750, 0.083)
Mg (0.500, 0.741, 0.920)
Mg (0.500, 0.259, 0.920)
Mg (0.000, 0.500, 0.835)
Mg (0.000, 0.250, 0.583)
Hf (0.500, 0.500, 0.166)
Hf (0.500, 0.000, 0.666)
Bi (0.000, 0.500, 0.329)
Bi (0.000, 0.000, 0.829)

=====

No. 4
HfMg14Bi | PBE | relaxed

Values from the calculation:
Space group   Amm2, No. 38
V   23.01 Å³ per atom
Energy relative to the lowest polymorph listed for this composition   0.0 kJ/mol of formula units
Formation energy from the elements   0.014 eV per atom
Electronic total energy   -2.251 eV per atom
Spin magnetization   0.00 μB per formula unit
Theoretical density   3.28 Mg/m³

Lattice parameters (Å, degrees): 10.392 6.421 6.421 59.23 90.00 90.00
Fractional positions:
Hf (0.000, 0.000, 0.000)
Mg (0.000, 0.002, 0.498)
Mg (0.000, 0.498, 0.002)
Mg (0.249, 0.165, 0.165)
Mg (0.253, 0.161, 0.671)
Mg (0.253, 0.669, 0.669)
Mg (0.253, 0.671, 0.161)
Mg (0.500, 0.000, 0.000)
Mg (0.500, 0.000, 0.500)
Mg (0.500, 0.500, 0.000)
Mg (0.500, 0.500, 0.500)
Mg (0.747, 0.161, 0.671)
Mg (0.747, 0.669, 0.669)
Mg (0.747, 0.671, 0.161)
Mg (0.751, 0.165, 0.165)
Bi (0.000, 0.502, 0.502)

=====

No. 5
HfMg14Bi | PBE | relaxed

Values from the calculation:
Space group   P-6m2, No. 187
V   23.16 Å³ per atom
Energy relative to the lowest polymorph listed for this composition   14.8 kJ/mol of formula units
Formation energy from the elements   0.024 eV per atom
Electronic total energy   -2.242 eV per atom
Spin magnetization   0.00 μB per formula unit
Theoretical density   3.26 Mg/m³

Lattice parameters (Å, degrees): 6.387 6.387 10.490 90.00 90.00 120.00
Fractional positions:
Hf (0.000, 0.000, 0.000)
Mg (0.004, 0.502, 0.000)
Mg (0.164, 0.329, 0.244)
Mg (0.164, 0.329, 0.756)
Mg (0.164, 0.836, 0.244)
Mg (0.164, 0.836, 0.756)
Mg (0.498, 0.502, 0.000)
Mg (0.498, 0.996, 0.000)
Mg (0.501, 0.002, 0.500)
Mg (0.501, 0.499, 0.500)
Mg (0.667, 0.333, 0.246)
Mg (0.667, 0.333, 0.754)
Mg (0.671, 0.836, 0.244)
Mg (0.671, 0.836, 0.756)
Mg (0.998, 0.499, 0.500)
Bi (0.000, 0.000, 0.500)

=====

No. 6
Hf6NiBi2 | PBE | relaxed

Values from the calculation:
Space group   P-62m, No. 189
V   21.62 Å³ per atom
Formation energy from the elements   -0.256 eV per atom
Electronic total energy   -8.400 eV per atom
Theoretical density   13.21 Mg/m³

Lattice parameters (Å, degrees): 7.824 7.824 3.671 90.00 90.00 120.00
Fractional positions:
Hf (0.000, 0.235, 0.000)
Hf (0.000, 0.614, 0.500)
Hf (0.235, 0.000, 0.000)
Hf (0.386, 0.386, 0.500)
Hf (0.614, 0.000, 0.500)
Hf (0.765, 0.765, 0.000)
Ni (0.000, 0.000, 0.500)
Bi (0.333, 0.667, 0.000)
Bi (0.667, 0.333, 0.000)

=====

No. 7
HfBiO4 | PBE | relaxed

Values from the calculation:
Space group   P-1, No. 2
V   13.71 Å³ per atom
Formation energy from the elements   -2.720 eV per atom
Electronic total energy   -7.868 eV per atom
Spin magnetization   0.00 μB per formula unit
Theoretical density   9.11 Mg/m³

Lattice parameters (Å, degrees): 5.478 7.794 7.805 98.45 91.46 92.63
Fractional positions:
Hf (0.221, 0.176, 0.358)
Hf (0.258, 0.679, 0.329)
Hf (0.742, 0.321, 0.671)
Hf (0.779, 0.824, 0.642)
Bi (0.244, 0.137, 0.861)
Bi (0.278, 0.648, 0.820)
Bi (0.722, 0.352, 0.180)
Bi (0.756, 0.863, 0.139)
O (0.010, 0.183, 0.114)
O (0.077, 0.408, 0.807)
O (0.096, 0.687, 0.569)
O (0.109, 0.922, 0.323)
O (0.394, 0.430, 0.319)
O (0.410, 0.673, 0.081)
O (0.415, 0.196, 0.585)
O (0.499, 0.115, 0.185)
O (0.501, 0.885, 0.815)
O (0.585, 0.804, 0.415)
O (0.590, 0.327, 0.919)
O (0.606, 0.570, 0.681)
O (0.891, 0.078, 0.677)
O (0.904, 0.313, 0.431)
O (0.923, 0.592, 0.193)
O (0.990, 0.817, 0.886)

=====

No. 8
K2HgBiI6 | PBE | relaxed

Values from the calculation:
Space group   Fm-3m, No. 225
V   47.86 Å³ per atom
Formation energy from the elements   -0.981 eV per atom
Electronic total energy   -2.309 eV per atom
Spin magnetization   0.01 μB per formula unit
Theoretical density   4.33 Mg/m³

Lattice parameters (Å, degrees): 8.780 8.780 8.780 60.00 60.00 60.00
Fractional positions:
K (0.250, 0.250, 0.250)
K (0.750, 0.750, 0.750)
Hg (0.000, 0.000, 0.000)
Bi (0.500, 0.500, 0.500)
I (0.251, 0.251, 0.749)
I (0.251, 0.749, 0.251)
I (0.251, 0.749, 0.749)
I (0.749, 0.251, 0.251)
I (0.749, 0.251, 0.749)
I (0.749, 0.749, 0.251)

=====

No. 9
Li2HgBi | PBE | relaxed

Values from the calculation:
Space group   Fm-3m, No. 225
V   20.88 Å³ per atom
Formation energy from the elements   -0.381 eV per atom
Electronic total energy   -2.384 eV per atom
Theoretical density   8.42 Mg/m³

Lattice parameters (Å, degrees): 4.906 4.906 4.906 60.00 60.00 60.00
Fractional positions:
Li (0.250, 0.250, 0.250)
Li (0.750, 0.750, 0.750)
Hg (0.000, 0.000, 0.000)
Bi (0.500, 0.500, 0.500)

=====

No. 10
HgBi2O6 | PBE | relaxed

Values from the calculation:
Space group   P4_2/mnm, No. 136
V   15.07 Å³ per atom
Formation energy from the elements   -1.101 eV per atom
Electronic total energy   -4.839 eV per atom
Theoretical density   8.75 Mg/m³

Lattice parameters (Å, degrees): 5.083 5.083 10.501 90.00 90.00 90.00
Fractional positions:
Hg (0.000, 0.000, 0.000)
Hg (0.500, 0.500, 0.500)
Bi (0.000, 0.000, 0.332)
Bi (0.000, 0.000, 0.668)
Bi (0.500, 0.500, 0.168)
Bi (0.500, 0.500, 0.832)
O (0.185, 0.185, 0.500)
O (0.199, 0.199, 0.176)
O (0.199, 0.199, 0.824)
O (0.301, 0.699, 0.324)
O (0.301, 0.699, 0.676)
O (0.315, 0.685, 0.000)
O (0.685, 0.315, 0.000)
O (0.699, 0.301, 0.324)
O (0.699, 0.301, 0.676)
O (0.801, 0.801, 0.176)
O (0.801, 0.801, 0.824)
O (0.815, 0.815, 0.500)

=====

No. 11
Ho3Bi | PBE | relaxed

Values from the calculation:
Space group   Pm-3m, No. 221
V   28.53 Å³ per atom
Formation energy from the elements   -0.314 eV per atom
Electronic total energy   -4.723 eV per atom
Spin magnetization   0.00 μB per formula unit
Theoretical density   10.24 Mg/m³

Lattice parameters (Å, degrees): 4.850 4.850 4.850 90.00 90.00 90.00
Fractional positions:
Ho (0.000, 0.000, 0.500)
Ho (0.000, 0.500, 0.000)
Ho (0.500, 0.000, 0.000)
Bi (0.500, 0.500, 0.500)

=====

No. 12
HoBi3 | PBE | relaxed

Values from the calculation:
Space group   P6_3/mmc, No. 194
V   30.42 Å³ per atom
Formation energy from the elements   -0.312 eV per atom
Electronic total energy   -4.375 eV per atom
Spin magnetization   0.00 μB per formula unit
Theoretical density   10.81 Mg/m³

Lattice parameters (Å, degrees): 6.832 6.832 6.020 90.00 90.00 120.00
Fractional positions:
Ho (0.333, 0.667, 0.250)
Ho (0.667, 0.333, 0.750)
Bi (0.173, 0.346, 0.750)
Bi (0.173, 0.827, 0.750)
Bi (0.346, 0.173, 0.250)
Bi (0.654, 0.827, 0.750)
Bi (0.827, 0.173, 0.250)
Bi (0.827, 0.654, 0.250)

=====

No. 13
Ho5Bi3 | PBE | relaxed

Values from the calculation:
Space group   Pnma, No. 62
V   29.34 Å³ per atom
Energy relative to the lowest polymorph listed for this composition   0.0 kJ/mol of formula units
Formation energy from the elements   -0.664 eV per atom
Electronic total energy   -4.987 eV per atom
Theoretical density   10.27 Mg/m³

Lattice parameters (Å, degrees): 8.229 9.512 11.997 90.00 90.00 90.00
Fractional positions:
Ho (0.023, 0.250, 0.011)
Ho (0.146, 0.750, 0.284)
Ho (0.185, 0.250, 0.282)
Ho (0.192, 0.064, 0.559)
Ho (0.192, 0.436, 0.559)
Ho (0.308, 0.564, 0.059)
Ho (0.308, 0.936, 0.059)
Ho (0.315, 0.750, 0.782)
Ho (0.354, 0.250, 0.784)
Ho (0.477, 0.750, 0.511)
Ho (0.523, 0.250, 0.489)
Ho (0.646, 0.750, 0.216)
Ho (0.685, 0.250, 0.218)
Ho (0.692, 0.064, 0.941)
Ho (0.692, 0.436, 0.941)
Ho (0.808, 0.564, 0.441)
Ho (0.808, 0.936, 0.441)
Ho (0.815, 0.750, 0.718)
Ho (0.854, 0.250, 0.716)
Ho (0.977, 0.750, 0.989)
Bi (0.066, 0.004, 0.826)
Bi (0.066, 0.496, 0.826)
Bi (0.095, 0.750, 0.543)
Bi (0.405, 0.250, 0.043)
Bi (0.434, 0.504, 0.326)
Bi (0.434, 0.996, 0.326)
Bi (0.566, 0.004, 0.674)
Bi (0.566, 0.496, 0.674)
Bi (0.595, 0.750, 0.957)
Bi (0.905, 0.250, 0.457)
Bi (0.934, 0.504, 0.174)
Bi (0.934, 0.996, 0.174)

=====

No. 14
HoBi3 | PBE | relaxed

Values from the calculation:
Space group   I4/mmm, No. 139
V   30.11 Å³ per atom
Formation energy from the elements   -0.310 eV per atom
Electronic total energy   -4.373 eV per atom
Spin magnetization   0.01 μB per formula unit
Theoretical density   10.92 Mg/m³

Lattice parameters (Å, degrees): 6.426 6.426 6.426 137.33 137.33 61.93
Fractional positions:
Ho (0.000, 0.000, 0.000)
Bi (0.250, 0.750, 0.500)
Bi (0.500, 0.500, 0.000)
Bi (0.750, 0.250, 0.500)

=====

No. 15
Ho5Bi3 | PBE | relaxed

Values from the calculation:
Space group   Pnma, No. 62
V   29.48 Å³ per atom
Energy relative to the lowest polymorph listed for this composition   6.4 kJ/mol of formula units
Formation energy from the elements   -0.655 eV per atom
Electronic total energy   -4.978 eV per atom
Theoretical density   10.22 Mg/m³

Lattice parameters (Å, degrees): 12.034 9.447 8.297 90.00 90.00 90.00
Fractional positions:
Ho (0.005, 0.250, 0.025)
Ho (0.066, 0.061, 0.694)
Ho (0.066, 0.439, 0.694)
Ho (0.209, 0.750, 0.344)
Ho (0.231, 0.250, 0.325)
Ho (0.269, 0.750, 0.825)
Ho (0.291, 0.250, 0.844)
Ho (0.434, 0.561, 0.194)
Ho (0.434, 0.939, 0.194)
Ho (0.495, 0.750, 0.525)
Ho (0.505, 0.250, 0.475)
Ho (0.566, 0.061, 0.806)
Ho (0.566, 0.439, 0.806)
Ho (0.709, 0.750, 0.156)
Ho (0.731, 0.250, 0.175)
Ho (0.769, 0.750, 0.675)
Ho (0.791, 0.250, 0.656)
Ho (0.934, 0.561, 0.306)
Ho (0.934, 0.939, 0.306)
Ho (0.995, 0.750, 0.975)
Bi (0.023, 0.750, 0.596)
Bi (0.175, 0.510, 0.066)
Bi (0.175, 0.990, 0.066)
Bi (0.325, 0.010, 0.566)
Bi (0.325, 0.490, 0.566)
Bi (0.477, 0.250, 0.096)
Bi (0.523, 0.750, 0.904)
Bi (0.675, 0.510, 0.434)
Bi (0.675, 0.990, 0.434)
Bi (0.825, 0.010, 0.934)
Bi (0.825, 0.490, 0.934)
Bi (0.977, 0.250, 0.404)

=====

No. 16
HoMgBi2O6 | PBE | relaxed

Values from the calculation:
Space group   Pmn2_1, No. 31
V   14.57 Å³ per atom
Formation energy from the elements   -2.317 eV per atom
Electronic total energy   -6.270 eV per atom
Spin magnetization   0.00 μB per formula unit
Theoretical density   8.02 Mg/m³

Lattice parameters (Å, degrees): 8.536 5.972 5.715 90.00 90.00 90.00
Fractional positions:
Ho (0.000, 0.182, 0.000)
Ho (0.500, 0.818, 0.500)
Mg (0.000, 0.752, 0.489)
Mg (0.500, 0.248, 0.989)
Bi (0.249, 0.262, 0.484)
Bi (0.251, 0.738, 0.984)
Bi (0.749, 0.738, 0.984)
Bi (0.751, 0.262, 0.484)
O (0.000, 0.348, 0.637)
O (0.000, 0.843, 0.823)
O (0.161, 0.934, 0.299)
O (0.178, 0.410, 0.136)
O (0.322, 0.590, 0.636)
O (0.339, 0.066, 0.799)
O (0.500, 0.157, 0.323)
O (0.500, 0.652, 0.137)
O (0.661, 0.066, 0.799)
O (0.678, 0.590, 0.636)
O (0.822, 0.410, 0.136)
O (0.839, 0.934, 0.299)

=====

No. 17
Ho5Ni2Bi | PBE | relaxed

Values from the calculation:
Space group   I4/mcm, No. 140
V   24.74 Å³ per atom
Formation energy from the elements   -0.461 eV per atom
Electronic total energy   -5.256 eV per atom
Theoretical density   9.66 Mg/m³

Lattice parameters (Å, degrees): 8.651 8.651 8.651 127.45 127.45 77.52
Fractional positions:
Ho (0.000, 0.000, 0.000)
Ho (0.020, 0.520, 0.810)
Ho (0.210, 0.020, 0.500)
Ho (0.290, 0.790, 0.810)
Ho (0.480, 0.290, 0.500)
Ho (0.500, 0.500, 0.000)
Ho (0.520, 0.710, 0.500)
Ho (0.710, 0.210, 0.190)
Ho (0.790, 0.980, 0.500)
Ho (0.980, 0.480, 0.190)
Ni (0.132, 0.368, 0.500)
Ni (0.368, 0.868, 0.236)
Ni (0.632, 0.132, 0.764)
Ni (0.868, 0.632, 0.500)
Bi (0.250, 0.250, 0.000)
Bi (0.750, 0.750, 0.000)